Below is a geometry-optimized LiFeNiO4 structure, with properties calculated at the PBE+U level.

Cell lengths 5.943, 5.943, 5.943 Å; angles 123.09, 122.20, 85.48 degrees
Element x y z (fractional)
O: 0.255 0.278 0.523
O: 0.745 0.722 0.477
Ni: 0.500 0.500 0.500
Fe: 0.500 0.500 0.000
O: 0.745 0.268 0.023
O: 0.735 0.264 0.471
O: 0.707 0.736 0.971
Li: 0.882 0.132 0.750
Ni: 0.500 0.000 0.000
O: 0.265 0.736 0.529
O: 0.255 0.732 0.977
O: 0.293 0.264 0.029
Fe: 0.000 0.500 0.500
Li: 0.118 0.868 0.250

## Properties
* relative energy among the computed polymorphs: 0 meV per atom
* ΔE_f: -10.05 eV/f.u.
* mass density: 4.3 g/cm3